Density functional theory data (r2SCAN) for a relaxed structure of TiSn9O20.

abc: 14.403 6.712 7.434
angles: 90.00 92.44 90.00
Space group C2/m (No. 12)
Inequivalent atoms, fractional coordinates:
Ti  0.000  0.000  0.000 (multiplicity 2)
Sn  0.000  0.000  0.500 (multiplicity 2)
Sn  0.099  0.500  0.098 (multiplicity 4)
Sn  0.101  0.500  0.599 (multiplicity 4)
Sn  0.198  0.000  0.199 (multiplicity 4)
Sn  0.199  0.000  0.702 (multiplicity 4)
O  0.000  0.299  0.000 (multiplicity 4)
O  0.038  0.500  0.343 (multiplicity 4)
O  0.057  0.000  0.247 (multiplicity 4)
O  0.101  0.195  0.595 (multiplicity 8)
O  0.133  0.000  0.943 (multiplicity 4)
O  0.162  0.500  0.855 (multiplicity 4)
O  0.200  0.306  0.198 (multiplicity 8)
O  0.240  0.500  0.545 (multiplicity 4)

Values from the calculation:
Energy of formation from the pure elements: -2.01 eV/atom
Magnetization: 0.0 μB per cell

=====

Density functional theory data (r2SCAN) for a relaxed structure of ThInNi.

abc: 7.3370 7.3370 4.1411
angles: 90.00 90.00 120.00
Space group P-62m (No. 189)
Inequivalent atoms, fractional coordinates:
Th  0.0000  0.4181  0.0000 (multiplicity 3)
In  0.0000  0.7576  0.5000 (multiplicity 3)
Ni  0.0000  0.0000  0.0000 (multiplicity 1)
Ni  0.3333  0.6667  0.5000 (multiplicity 2)

Values from the calculation:
Energy of formation from the pure elements: -0.52 eV/atom
Magnetization: 0.0 μB per cell